{"formula": "LaTmMg2", "functional": "r²SCAN", "state": "relaxed", "lattice_angstrom": [[-5.217, 1.104, 1.132], [-3.599, 0.603, -4.049], [-3.830, -3.789, -0.829]], "species": ["Tm", "Mg", "Mg", "La"], "frac_coords": [[0.000, 0.000, 0.000], [0.750, 0.750, 0.750], [0.250, 0.250, 0.250], [0.500, 0.500, 0.500]], "dft_energy_ha_per_atom": -0.6760, "e_form_ev_per_atom": -0.09}


{"formula": "LaYMg2", "functional": "r²SCAN", "state": "relaxed", "lattice_angstrom": [[0.000, 3.891, 3.891], [3.891, 0.000, 3.891], [3.891, 3.891, 0.000]], "species": ["Mg", "Mg", "La", "Y"], "frac_coords": [[0.250, 0.250, 0.250], [0.750, 0.750, 0.750], [0.500, 0.500, 0.500], [0.000, 0.000, 0.000]], "dft_energy_ha_per_atom": -0.5406, "e_form_ev_per_atom": -0.11}


{"formula": "LaYbMg2", "functional": "r²SCAN", "state": "relaxed", "lattice_angstrom": [[0.000, 3.849, 3.849], [3.849, 0.000, 3.849], [3.849, 3.849, 0.000]], "species": ["Mg", "Mg", "La", "Yb"], "frac_coords": [[0.750, 0.750, 0.750], [0.250, 0.250, 0.250], [0.500, 0.500, 0.500], [0.000, 0.000, 0.000]], "dft_energy_ha_per_atom": -0.6890, "e_form_ev_per_atom": -0.10}


{"formula": "LaMnSi", "functional": "r²SCAN", "state": "relaxed", "lattice_angstrom": [[-3.226, -2.858, -0.368], [1.108, -0.719, -4.119], [4.375, -5.207, 2.086]], "species": ["Mn", "Mn", "Si", "Si", "La", "La"], "frac_coords": [[0.500, 0.500, 0.000], [0.000, 0.000, 0.000], [0.000, 0.500, 0.802], [0.500, 0.000, 0.198], [0.500, 0.000, 0.670], [0.000, 0.500, 0.330]], "dft_energy_ha_per_atom": -0.6743, "e_form_ev_per_atom": -0.61}


{"formula": "La2Mo3O12", "functional": "r²SCAN", "state": "relaxed", "lattice_angstrom": [[5.922, 3.794, -0.004], [-5.922, 3.794, -0.004], [0.000, 3.780, 11.408]], "species": ["Mo", "Mo", "Mo", "Mo", "Mo", "Mo", "O", "O", "O", "O", "O", "O", "O", "O", "O", "O", "O", "O", "O", "O", "O", "O", "O", "O", "O", "O", "O", "O", "O", "O", "La", "La", "La", "La"], "frac_coords": [[0.963, 0.709, 0.075], [0.037, 0.291, 0.925], [0.709, 0.963, 0.575], [0.291, 0.037, 0.425], [0.375, 0.625, 0.250], [0.625, 0.375, 0.750], [0.968, 0.069, 0.600], [0.032, 0.931, 0.400], [0.537, 0.932, 0.708], [0.175, 0.584, 0.380], [0.069, 0.968, 0.100], [0.463, 0.068, 0.292], [0.416, 0.825, 0.120], [0.825, 0.416, 0.620], [0.837, 0.284, 0.039], [0.931, 0.032, 0.900], [0.284, 0.837, 0.539], [0.932, 0.537, 0.208], [0.584, 0.175, 0.880], [0.376, 0.299, 0.717], [0.716, 0.163, 0.461], [0.388, 0.301, 0.457], [0.624, 0.701, 0.283], [0.612, 0.699, 0.543], [0.301, 0.388, 0.957], [0.068, 0.463, 0.792], [0.299, 0.376, 0.217], [0.701, 0.624, 0.783], [0.163, 0.716, 0.961], [0.699, 0.612, 0.043], [0.454, 0.206, 0.091], [0.794, 0.546, 0.409], [0.546, 0.794, 0.909], [0.206, 0.454, 0.591]], "dft_energy_ha_per_atom": -0.5544, "e_form_ev_per_atom": -2.77}


{"formula": "LaNdN2", "functional": "r²SCAN", "state": "relaxed", "lattice_angstrom": [[-3.661, -3.544, 3.889], [-0.711, -5.599, 3.039], [-0.459, -2.996, 5.648]], "species": ["La", "N", "N", "Nd"], "frac_coords": [[0.500, 0.500, 0.500], [0.749, 0.749, 0.749], [0.251, 0.251, 0.251], [0.000, 0.000, 0.000]], "dft_energy_ha_per_atom": -0.7701, "e_form_ev_per_atom": -1.60}


{"formula": "La4Se3N2", "functional": "r²SCAN", "state": "relaxed", "lattice_angstrom": [[5.178, 6.697, -0.016], [-5.178, 6.697, -0.016], [0.000, -0.007, 6.619]], "species": ["N", "N", "N", "N", "La", "La", "La", "La", "La", "La", "La", "La", "Se", "Se", "Se", "Se", "Se", "Se"], "frac_coords": [[0.669, 0.920, 0.584], [0.920, 0.669, 0.084], [0.080, 0.331, 0.916], [0.331, 0.080, 0.416], [0.444, 0.808, 0.529], [0.913, 0.758, 0.425], [0.808, 0.444, 0.029], [0.556, 0.192, 0.471], [0.087, 0.242, 0.575], [0.758, 0.913, 0.925], [0.242, 0.087, 0.075], [0.192, 0.556, 0.971], [0.748, 0.486, 0.534], [0.252, 0.514, 0.466], [0.903, 0.097, 0.250], [0.514, 0.252, 0.966], [0.486, 0.748, 0.034], [0.097, 0.903, 0.750]], "dft_energy_ha_per_atom": -0.8153, "e_form_ev_per_atom": -2.17}


{"formula": "La3SnN", "functional": "r²SCAN", "state": "relaxed", "lattice_angstrom": [[5.107, 0.000, 0.000], [0.000, 5.107, 0.000], [0.000, 0.000, 5.107]], "species": ["La", "La", "La", "Sn", "N"], "frac_coords": [[0.500, 0.000, 0.000], [0.000, 0.000, 0.500], [0.000, 0.500, 0.000], [0.500, 0.500, 0.500], [0.000, 0.000, 0.000]], "dft_energy_ha_per_atom": -0.9479, "e_form_ev_per_atom": -1.17}


{"formula": "LaThN2", "functional": "r²SCAN", "state": "relaxed", "lattice_angstrom": [[6.141, -1.849, -0.003], [6.141, 1.849, -0.003], [5.585, 0.000, 3.151]], "species": ["N", "N", "Th", "La"], "frac_coords": [[0.758, 0.758, 0.758], [0.242, 0.242, 0.242], [0.500, 0.500, 0.500], [0.000, 0.000, 0.000]], "dft_energy_ha_per_atom": -1.1802, "e_form_ev_per_atom": -1.75}


{"formula": "LaUN2", "functional": "r²SCAN", "state": "relaxed", "lattice_angstrom": [[-3.279, 3.735, 3.832], [-3.953, 0.396, 4.859], [-0.943, 1.997, 5.875]], "species": ["N", "N", "U", "La"], "frac_coords": [[0.768, 0.768, 0.768], [0.232, 0.232, 0.232], [0.500, 0.500, 0.500], [0.000, 0.000, 0.000]], "dft_energy_ha_per_atom": -1.2356, "e_form_ev_per_atom": -1.64}


{"formula": "NaLaW2O8", "functional": "r²SCAN", "state": "relaxed", "lattice_angstrom": [[-2.682, 2.682, 5.768], [2.682, -2.682, 5.768], [2.682, 2.682, -5.768]], "species": ["W", "W", "O", "O", "O", "O", "O", "O", "O", "O", "La", "Na"], "frac_coords": [[0.750, 0.250, 0.500], [0.500, 0.500, 0.000], [0.428, 0.014, 0.110], [0.986, 0.096, 0.413], [0.904, 0.317, 0.890], [0.559, 0.177, 0.911], [0.266, 0.648, 0.089], [0.823, 0.734, 0.382], [0.352, 0.441, 0.618], [0.683, 0.572, 0.587], [0.250, 0.750, 0.500], [0.000, 0.000, 0.000]], "dft_energy_ha_per_atom": -0.6633, "e_form_ev_per_atom": -2.73}


{"formula": "NaLaSe2", "functional": "r²SCAN", "state": "relaxed", "lattice_angstrom": [[-1.651, 1.054, -3.910], [1.649, 3.381, -2.230], [4.510, -2.725, -5.084]], "species": ["Se", "Se", "La", "Na"], "frac_coords": [[0.753, 0.753, 0.740], [0.247, 0.247, 0.260], [0.500, 0.500, 0.500], [0.000, 0.000, 0.000]], "dft_energy_ha_per_atom": -0.6436, "e_form_ev_per_atom": -2.03}


{"formula": "Rb2LaNb5O15", "functional": "r²SCAN", "state": "relaxed", "lattice_angstrom": [[-11.063, 0.195, -6.398], [-4.134, -9.971, 6.845], [-1.515, 2.477, 2.694]], "species": ["Nb", "Nb", "Nb", "Nb", "Nb", "Nb", "Nb", "Nb", "Nb", "Nb", "O", "O", "O", "O", "O", "O", "O", "O", "O", "O", "O", "O", "O", "O", "O", "O", "O", "O", "O", "O", "O", "O", "O", "O", "O", "O", "O", "O", "O", "O", "La", "La", "Rb", "Rb", "Rb", "Rb"], "frac_coords": [[0.075, 0.786, 0.000], [0.286, 0.575, 0.000], [0.000, 0.500, 0.000], [0.575, 0.714, 0.000], [0.925, 0.214, 0.000], [0.714, 0.425, 0.000], [0.425, 0.286, 0.000], [0.786, 0.925, 0.000], [0.214, 0.075, 0.000], [0.500, 0.000, 0.000], [0.999, 0.657, 0.000], [0.713, 0.787, 0.000], [0.001, 0.343, 0.000], [0.499, 0.843, 0.000], [0.843, 0.501, 0.000], [0.061, 0.133, 0.000], [0.157, 0.499, 0.000], [0.287, 0.213, 0.000], [0.343, 0.999, 0.000], [0.213, 0.713, 0.000], [0.308, 0.578, 0.500], [0.367, 0.439, 0.000], [0.692, 0.422, 0.500], [0.657, 0.001, 0.000], [0.422, 0.308, 0.500], [0.078, 0.808, 0.500], [0.500, 0.000, 0.500], [0.787, 0.287, 0.000], [0.808, 0.922, 0.500], [0.000, 0.500, 0.500], [0.633, 0.561, 0.000], [0.501, 0.157, 0.000], [0.133, 0.939, 0.000], [0.561, 0.367, 0.000], [0.922, 0.192, 0.500], [0.439, 0.633, 0.000], [0.939, 0.867, 0.000], [0.867, 0.061, 0.000], [0.578, 0.692, 0.500], [0.192, 0.078, 0.500], [0.500, 0.500, 0.500], [0.000, 0.000, 0.500], [0.672, 0.172, 0.500], [0.828, 0.672, 0.500], [0.328, 0.828, 0.500], [0.172, 0.328, 0.500]], "dft_energy_ha_per_atom": -0.5388, "e_form_ev_per_atom": -2.88}


{"formula": "La3Nd", "functional": "r²SCAN", "state": "relaxed", "lattice_angstrom": [[-2.649, 2.649, 5.249], [2.649, -2.649, 5.249], [2.649, 2.649, -5.249]], "species": ["Nd", "La", "La", "La"], "frac_coords": [[0.000, 0.000, 0.000], [0.250, 0.750, 0.500], [0.500, 0.500, 0.000], [0.750, 0.250, 0.500]], "dft_energy_ha_per_atom": -1.0893, "e_form_ev_per_atom": 0.02}


{"formula": "LaNdNi10", "functional": "r²SCAN", "state": "relaxed", "lattice_angstrom": [[3.934, 0.000, 0.000], [0.000, 4.932, 0.000], [0.000, 0.000, 8.545]], "species": ["Ni", "Ni", "Ni", "Ni", "Ni", "Ni", "Ni", "Ni", "Ni", "Ni", "Nd", "La"], "frac_coords": [[0.500, 0.252, 0.748], [0.000, 0.500, 0.167], [0.500, 0.252, 0.252], [0.500, 0.748, 0.748], [0.500, 0.000, 0.500], [0.000, 0.000, 0.334], [0.000, 0.000, 0.666], [0.000, 0.500, 0.833], [0.500, 0.500, 0.000], [0.500, 0.748, 0.252], [0.000, 0.500, 0.500], [0.000, 0.000, 0.000]], "dft_energy_ha_per_atom": -0.5570, "e_form_ev_per_atom": -0.24}


{"formula": "La3Ni", "functional": "r²SCAN", "state": "relaxed", "lattice_angstrom": [[0.000, 0.000, 6.682], [7.111, 0.000, 0.000], [0.000, 10.253, 0.000]], "species": ["La", "La", "La", "La", "La", "La", "La", "La", "La", "La", "La", "La", "Ni", "Ni", "Ni", "Ni"], "frac_coords": [[0.676, 0.337, 0.930], [0.676, 0.337, 0.570], [0.176, 0.163, 0.070], [0.355, 0.958, 0.750], [0.145, 0.458, 0.750], [0.324, 0.663, 0.070], [0.824, 0.837, 0.570], [0.824, 0.837, 0.930], [0.645, 0.042, 0.250], [0.855, 0.542, 0.250], [0.176, 0.163, 0.430], [0.324, 0.663, 0.430], [0.567, 0.621, 0.750], [0.933, 0.121, 0.750], [0.067, 0.879, 0.250], [0.433, 0.379, 0.250]], "dft_energy_ha_per_atom": -0.9362, "e_form_ev_per_atom": -0.17}


{"formula": "LaNi3", "functional": "r²SCAN", "state": "relaxed", "lattice_angstrom": [[8.415, -2.502, 0.003], [8.415, 2.502, 0.003], [7.669, 0.000, 4.272]], "species": ["La", "La", "La", "Ni", "Ni", "Ni", "Ni", "Ni", "Ni", "Ni", "Ni", "Ni"], "frac_coords": [[0.138, 0.138, 0.138], [0.000, 0.000, 0.000], [0.862, 0.862, 0.862], [0.083, 0.579, 0.579], [0.332, 0.332, 0.332], [0.579, 0.579, 0.083], [0.917, 0.421, 0.421], [0.668, 0.668, 0.668], [0.421, 0.917, 0.421], [0.500, 0.500, 0.500], [0.579, 0.083, 0.579], [0.421, 0.421, 0.917]], "dft_energy_ha_per_atom": -0.6131, "e_form_ev_per_atom": -0.26}


{"formula": "LaNi5", "functional": "r²SCAN", "state": "relaxed", "lattice_angstrom": [[-3.461, -3.511, 0.404], [4.322, -0.506, 2.352], [-1.498, 1.839, 3.148]], "species": ["Ni", "Ni", "Ni", "Ni", "Ni", "La"], "frac_coords": [[0.000, 0.500, 0.500], [0.333, 0.667, 0.000], [0.500, 0.500, 0.500], [0.667, 0.333, 0.000], [0.500, 0.000, 0.500], [0.000, 0.000, 0.000]], "dft_energy_ha_per_atom": -0.5579, "e_form_ev_per_atom": -0.24}


{"formula": "LaNi2", "functional": "r²SCAN", "state": "relaxed", "lattice_angstrom": [[-3.862, 0.184, -3.426], [-0.458, -3.699, -3.578], [-3.873, -3.407, 0.288]], "species": ["Ni", "Ni", "Ni", "Ni", "La", "La"], "frac_coords": [[0.500, 0.000, 0.500], [0.500, 0.500, 0.500], [0.000, 0.500, 0.500], [0.500, 0.500, 0.000], [0.875, 0.875, 0.875], [0.125, 0.125, 0.125]], "dft_energy_ha_per_atom": -0.6672, "e_form_ev_per_atom": -0.25}


{"formula": "La4ReNi3O12", "functional": "r²SCAN", "state": "relaxed", "lattice_angstrom": [[-2.050, -2.917, -4.173], [4.882, -2.403, -0.719], [-2.087, -5.749, 5.044]], "species": ["O", "O", "O", "O", "O", "O", "O", "O", "O", "O", "O", "O", "Ni", "Ni", "Ni", "La", "La", "La", "La", "Re"], "frac_coords": [[0.254, 0.254, 0.000], [0.750, 0.250, 0.500], [0.000, 0.000, 0.749], [0.250, 0.750, 0.500], [0.746, 0.254, 0.000], [0.750, 0.750, 0.500], [0.500, 0.500, 0.752], [0.250, 0.250, 0.500], [0.500, 0.500, 0.248], [0.746, 0.746, 0.000], [0.000, 0.000, 0.251], [0.254, 0.746, 0.000], [0.000, 0.000, 0.000], [0.500, 0.500, 0.500], [0.000, 0.000, 0.500], [0.000, 0.500, 0.276], [0.500, 0.000, 0.276], [0.500, 0.000, 0.724], [0.000, 0.500, 0.724], [0.500, 0.500, 0.000]], "dft_energy_ha_per_atom": -0.6059, "e_form_ev_per_atom": -2.54}